Model A:
The following is a DFT calculation (PBE+U) of CaFeP2O7 after structural relaxation.

a = 7.332 Å, b = 9.783 Å, c = 8.672 Å
α = 105.87°, β = 110.50°, γ = 69.67°
Element x y z (fractional)
Ca 0.520 0.651 0.793
Ca 0.020 0.151 0.293
Ca 0.980 0.849 0.707
Ca 0.480 0.349 0.207
Fe 0.511 0.261 0.613
Fe 0.489 0.739 0.387
Fe 0.010 0.761 0.113
Fe 0.990 0.239 0.887
P 0.188 0.561 0.415
P 0.688 0.061 0.915
P 0.312 0.939 0.085
P 0.812 0.439 0.585
P 0.700 0.970 0.342
P 0.200 0.470 0.841
P 0.800 0.530 0.159
P 0.300 0.030 0.658
O 0.548 0.930 0.158
O 0.049 0.430 0.658
O 0.952 0.570 0.342
O 0.452 0.070 0.842
O 0.815 0.899 0.917
O 0.315 0.399 0.417
O 0.685 0.601 0.583
O 0.185 0.101 0.083
O 0.790 0.633 0.048
O 0.290 0.133 0.548
O 0.710 0.867 0.452
O 0.210 0.367 0.952
O 0.597 0.564 0.198
O 0.097 0.064 0.698
O 0.903 0.936 0.302
O 0.403 0.436 0.803
O 0.295 0.844 0.913
O 0.795 0.344 0.413
O 0.205 0.656 0.587
O 0.705 0.156 0.087
O 0.257 0.879 0.207
O 0.757 0.379 0.707
O 0.243 0.621 0.293
O 0.743 0.121 0.793
O 0.888 0.366 0.095
O 0.388 0.866 0.595
O 0.611 0.134 0.405
O 0.112 0.634 0.905

* mass density: 3.3 g/cm3
* calculated volume: 538 Å³ per cell

=====

Model B:
The following is a DFT calculation (PBE+U) of CaFeP2O7 after structural relaxation.

a = 7.455 Å, b = 8.872 Å, c = 9.264 Å
α = 90.00°, β = 117.33°, γ = 90.00°
Element x y z (fractional)
Ca 0.229 0.050 0.372
Ca 0.229 0.450 0.872
Ca 0.771 0.550 0.128
Ca 0.771 0.950 0.628
Fe 0.271 0.073 0.886
Fe 0.271 0.427 0.386
Fe 0.729 0.573 0.614
Fe 0.729 0.927 0.114
P 0.029 0.744 0.964
P 0.029 0.756 0.464
P 0.451 0.726 0.262
P 0.451 0.774 0.762
P 0.549 0.226 0.238
P 0.549 0.274 0.738
P 0.971 0.244 0.536
P 0.971 0.256 0.036
O 0.032 0.108 0.653
O 0.032 0.392 0.153
O 0.060 0.611 0.390
O 0.060 0.889 0.890
O 0.110 0.240 0.956
O 0.110 0.260 0.456
O 0.243 0.680 0.103
O 0.243 0.820 0.603
O 0.396 0.235 0.305
O 0.396 0.265 0.805
O 0.427 0.629 0.839
O 0.427 0.871 0.339
O 0.488 0.588 0.375
O 0.488 0.912 0.875
O 0.512 0.088 0.125
O 0.512 0.412 0.625
O 0.573 0.129 0.661
O 0.573 0.371 0.161
O 0.604 0.735 0.195
O 0.604 0.765 0.695
O 0.757 0.180 0.397
O 0.757 0.320 0.897
O 0.890 0.740 0.544
O 0.890 0.760 0.044
O 0.940 0.111 0.110
O 0.940 0.389 0.610
O 0.968 0.608 0.847
O 0.968 0.892 0.347

* space group: P2_1/c
* mass density: 3.3 g/cm3
* calculated volume: 544 Å³ per cell

=====

If you had to bet on the most stable structure above, which would it be? Bet on model A.